1.
Below is ZnSn2O4 after structural relaxation, with properties calculated at the GGA-PBE level.

Cell and atoms, written as POSCAR:
```
ZnSn2O4
1.0
-1.257 -0.592 10.863
3.127 -0.630 0.327
2.322 10.631 0.848
Sn O Zn
8 16 4
direct
0.639 0.220 0.900
0.361 0.220 0.400
0.122 0.874 0.573
0.378 0.126 0.074
0.141 0.773 0.903
0.878 0.874 0.073
0.859 0.773 0.403
0.622 0.126 0.574
0.984 0.368 0.013
0.486 0.644 0.016
0.298 0.222 0.894
0.514 0.644 0.516
0.201 0.807 0.392
0.261 0.588 0.138
0.016 0.368 0.513
0.759 0.405 0.136
0.988 0.941 0.234
0.739 0.588 0.638
0.241 0.405 0.636
0.489 0.042 0.236
0.012 0.941 0.734
0.799 0.807 0.892
0.702 0.222 0.394
0.511 0.042 0.736
0.108 0.465 0.248
0.392 0.522 0.745
0.892 0.465 0.748
0.608 0.522 0.245
```

Summary:
**ΔH_f (0 K)**: -1.63 eV/atom
**Space-group type**: Pc, No. 7
**Energy relative to the lowest polymorph listed for this composition**: 151.3 meV per atom

***

2.
Below is CsRbMg6 after structural relaxation, with properties calculated at the GGA-PBE level.

Cell and atoms, written as POSCAR:
```
CsRbMg6
1.0
3.186 -8.362 0.000
3.186 8.362 0.000
0.000 0.000 5.549
Mg Cs Rb
6 1 1
direct
0.134 0.866 0.000
0.728 0.779 0.000
0.221 0.272 0.000
0.638 0.362 0.000
0.323 0.174 0.500
0.826 0.677 0.500
0.315 0.685 0.500
0.816 0.184 0.500
```

Summary:
**ΔH_f (0 K)**: 0.28 eV/atom
**Space-group type**: Amm2, No. 38
**Energy relative to the lowest polymorph listed for this composition**: 4.5 meV per atom

***

3.
Below is SrSO4 after structural relaxation, with properties calculated at the GGA-PBE level.

Cell and atoms, written as POSCAR:
```
SrSO4
1.0
0.000 0.000 5.203
4.811 0.000 0.000
0.000 14.030 0.000
S O Sr
4 16 4
direct
0.250 0.183 0.370
0.750 0.817 0.630
0.250 0.317 0.870
0.750 0.683 0.130
0.017 0.263 0.427
0.017 0.237 0.927
0.750 0.125 0.641
0.250 0.326 0.277
0.983 0.737 0.573
0.983 0.763 0.073
0.517 0.763 0.073
0.750 0.674 0.723
0.750 0.826 0.223
0.750 0.375 0.141
0.517 0.737 0.573
0.250 0.625 0.859
0.483 0.237 0.927
0.483 0.263 0.427
0.250 0.875 0.359
0.250 0.174 0.777
0.250 0.280 0.603
0.250 0.220 0.103
0.750 0.720 0.397
0.750 0.780 0.897
```

Summary:
**ΔH_f (0 K)**: -2.66 eV/atom
**Space-group type**: Pnma, No. 62

***

4.
Below is PuCdAu2 after structural relaxation, with properties calculated at the GGA-PBE level.

Cell and atoms, written as POSCAR:
```
PuCdAu2
1.0
3.169 -3.850 -0.026
-1.209 -4.209 -2.385
2.369 -1.251 -4.206
Au Cd Pu
2 1 1
direct
0.750 0.750 0.750
0.250 0.250 0.250
0.500 0.500 0.500
0.000 0.000 0.000
```

Summary:
**ΔH_f (0 K)**: 0.12 eV/atom
**Space-group type**: Fm-3m, No. 225

***

5.
Below is Sn3H8C2NO7 after structural relaxation, with properties calculated at the GGA-PBE level.

Cell and atoms, written as POSCAR:
```
Sn3H8C2NO7
1.0
6.963 0.000 0.000
0.000 8.296 0.000
0.000 1.280 9.167
H Sn O N C
16 6 14 2 4
direct
0.098 0.034 0.978
0.356 0.411 0.036
0.638 0.627 0.160
0.138 0.373 0.840
0.470 0.864 0.177
0.040 0.309 0.003
0.953 0.728 0.079
0.970 0.136 0.823
0.540 0.691 0.997
0.856 0.589 0.964
0.453 0.272 0.921
0.845 0.806 0.907
0.224 0.094 0.810
0.345 0.194 0.093
0.724 0.906 0.190
0.598 0.966 0.022
0.600 0.018 0.578
0.320 0.402 0.422
0.820 0.598 0.578
0.315 0.702 0.666
0.100 0.982 0.422
0.815 0.298 0.334
0.315 0.958 0.576
0.352 0.557 0.251
0.326 0.688 0.873
0.044 0.759 0.558
0.815 0.042 0.424
0.598 0.759 0.579
0.826 0.312 0.127
0.667 0.057 0.772
0.852 0.443 0.749
0.544 0.241 0.442
0.807 0.526 0.384
0.098 0.241 0.421
0.307 0.474 0.616
0.167 0.943 0.228
0.149 0.284 0.930
0.649 0.716 0.070
0.607 0.876 0.119
0.841 0.709 0.000
0.107 0.124 0.881
0.341 0.291 0.000
```

Summary:
**ΔH_f (0 K)**: -0.85 eV/atom
**Space-group type**: P2_1, No. 4

***

6.
Below is YCoC2 after structural relaxation, with properties calculated at the GGA-PBE level.

Cell and atoms, written as POSCAR:
```
YCoC2
1.0
2.549 2.564 1.003
-3.301 1.276 1.247
0.508 -1.721 3.107
C Co Y
2 1 1
direct
0.543 0.151 0.500
0.849 0.457 0.500
0.385 0.615 0.500
0.002 0.998 0.000
```

Summary:
**ΔH_f (0 K)**: -0.34 eV/atom
**Space-group type**: Amm2, No. 38

***

| no. | V (A^3/atom) |
| --- | --- |
| 1 | 13.685 |
| 2 | 36.955 |
| 3 | 14.635 |
| 4 | 21.924 |
| 5 | 12.609 |
| 6 | 12.138 |